Record 1
{"formula": "Sb2H30C9N3Cl9", "functional": "PBE", "state": "relaxed", "lattice_angstrom": [[9.252, 0.000, 0.000], [0.000, 10.217, 0.000], [0.000, 0.036, 15.772]], "species": ["H", "H", "H", "H", "H", "H", "H", "H", "H", "H", "H", "H", "H", "H", "H", "H", "H", "H", "H", "H", "H", "H", "H", "H", "H", "H", "H", "H", "H", "H", "H", "H", "H", "H", "H", "H", "H", "H", "H", "H", "H", "H", "H", "H", "H", "H", "H", "H", "H", "H", "H", "H", "H", "H", "H", "H", "H", "H", "H", "H", "C", "C", "C", "C", "C", "C", "C", "C", "C", "C", "C", "C", "C", "C", "C", "C", "C", "C", "Cl", "Cl", "Cl", "Cl", "Cl", "Cl", "Cl", "Cl", "Cl", "Cl", "Cl", "Cl", "Cl", "Cl", "Cl", "Cl", "Cl", "Cl", "Sb", "Sb", "Sb", "Sb", "N", "N", "N", "N", "N", "N"], "fractional_positions": [[0.327, 0.570, 0.371], [0.762, 0.020, 0.616], [0.305, 0.406, 0.411], [0.556, 0.801, 0.564], [0.695, 0.406, 0.911], [0.843, 0.072, 0.395], [0.604, 0.823, 0.717], [0.157, 0.072, 0.895], [0.664, 0.494, 0.058], [0.691, 0.058, 0.272], [0.733, 0.203, 0.434], [0.878, 0.367, 0.025], [0.534, 0.132, 0.829], [0.466, 0.132, 0.329], [0.807, 0.324, 0.303], [0.096, 0.183, 0.766], [0.341, 0.669, 0.110], [0.904, 0.183, 0.266], [0.267, 0.203, 0.934], [0.178, 0.699, 0.215], [0.238, 0.020, 0.116], [0.822, 0.699, 0.715], [0.519, 0.225, 0.236], [0.235, 0.253, 0.701], [0.765, 0.253, 0.201], [0.444, 0.801, 0.064], [0.673, 0.570, 0.871], [0.541, 0.293, 0.340], [0.909, 0.831, 0.661], [0.570, 0.019, 0.636], [0.153, 0.853, 0.269], [0.167, 0.477, 0.345], [0.012, 0.432, 0.954], [0.696, 0.038, 0.722], [0.091, 0.831, 0.161], [0.881, 0.635, 0.954], [0.459, 0.293, 0.840], [0.656, 0.042, 0.422], [0.750, 0.794, 0.551], [0.640, 0.653, 0.011], [0.360, 0.653, 0.511], [0.833, 0.477, 0.845], [0.659, 0.669, 0.610], [0.309, 0.058, 0.772], [0.250, 0.794, 0.051], [0.193, 0.324, 0.803], [0.122, 0.367, 0.525], [0.336, 0.494, 0.558], [0.396, 0.823, 0.217], [0.430, 0.019, 0.136], [0.304, 0.038, 0.222], [0.119, 0.635, 0.454], [0.224, 0.628, 0.591], [0.009, 0.501, 0.557], [0.344, 0.042, 0.922], [0.481, 0.225, 0.736], [0.988, 0.432, 0.454], [0.847, 0.853, 0.769], [0.991, 0.501, 0.057], [0.776, 0.628, 0.091], [0.718, 0.584, 0.038], [0.200, 0.233, 0.766], [0.249, 0.496, 0.393], [0.751, 0.496, 0.893], [0.341, 0.773, 0.093], [0.800, 0.233, 0.266], [0.677, 0.992, 0.661], [0.323, 0.992, 0.161], [0.282, 0.584, 0.538], [0.174, 0.805, 0.208], [0.543, 0.203, 0.303], [0.734, 0.113, 0.396], [0.457, 0.203, 0.803], [0.826, 0.805, 0.708], [0.659, 0.773, 0.593], [0.934, 0.455, 0.004], [0.066, 0.455, 0.504], [0.266, 0.113, 0.896], [0.538, 0.579, 0.238], [0.839, 0.122, 0.869], [0.724, 0.885, 0.188], [0.161, 0.122, 0.369], [0.088, 0.571, 0.763], [0.388, 0.173, 0.542], [0.016, 0.116, 0.573], [0.010, 0.815, 0.947], [0.276, 0.885, 0.688], [0.912, 0.571, 0.263], [0.462, 0.579, 0.738], [0.990, 0.815, 0.447], [0.612, 0.173, 0.042], [0.676, 0.527, 0.440], [0.984, 0.116, 0.073], [0.552, 0.848, 0.884], [0.448, 0.848, 0.384], [0.324, 0.527, 0.940], [0.792, 0.000, 0.000], [0.291, 0.697, 0.827], [0.709, 0.697, 0.327], [0.208, 0.000, 0.500], [0.316, 0.848, 0.173], [0.691, 0.145, 0.307], [0.684, 0.848, 0.673], [0.175, 0.549, 0.470], [0.309, 0.145, 0.807], [0.825, 0.549, 0.970]], "formation_enthalpy_0k_kj_per_mol_atoms": -46.5, "rho_kg_m3": 1655}

---

Record 2
{"formula": "Hf7Tl18Pb2S25", "functional": "PBE", "state": "relaxed", "lattice_angstrom": [[17.715, 0.000, 0.000], [0.000, 17.715, 0.000], [0.000, 0.000, 17.715]], "species": ["S", "S", "S", "S", "S", "S", "S", "S", "S", "S", "S", "S", "S", "S", "S", "S", "S", "S", "S", "S", "S", "S", "S", "S", "S", "S", "S", "S", "S", "S", "S", "S", "S", "S", "S", "S", "S", "S", "S", "S", "S", "S", "S", "S", "S", "S", "S", "S", "S", "S", "S", "S", "S", "S", "S", "S", "S", "S", "S", "S", "S", "S", "S", "S", "S", "S", "S", "S", "S", "S", "S", "S", "S", "S", "S", "S", "S", "S", "S", "S", "S", "S", "S", "S", "S", "S", "S", "S", "S", "S", "S", "S", "S", "S", "S", "S", "S", "S", "S", "S", "Tl", "Tl", "Tl", "Tl", "Tl", "Tl", "Tl", "Tl", "Tl", "Tl", "Tl", "Tl", "Tl", "Tl", "Tl", "Tl", "Tl", "Tl", "Tl", "Tl", "Tl", "Tl", "Tl", "Tl", "Tl", "Tl", "Tl", "Tl", "Tl", "Tl", "Tl", "Tl", "Tl", "Tl", "Tl", "Tl", "Tl", "Tl", "Tl", "Tl", "Tl", "Tl", "Tl", "Tl", "Tl", "Tl", "Tl", "Tl", "Tl", "Tl", "Tl", "Tl", "Tl", "Tl", "Tl", "Tl", "Tl", "Tl", "Tl", "Tl", "Tl", "Tl", "Tl", "Tl", "Tl", "Tl", "Tl", "Tl", "Tl", "Tl", "Tl", "Tl", "Hf", "Hf", "Hf", "Hf", "Hf", "Hf", "Hf", "Hf", "Hf", "Hf", "Hf", "Hf", "Hf", "Hf", "Hf", "Hf", "Hf", "Hf", "Hf", "Hf", "Hf", "Hf", "Hf", "Hf", "Hf", "Hf", "Hf", "Hf", "Pb", "Pb", "Pb", "Pb", "Pb", "Pb", "Pb", "Pb"], "fractional_positions": [[0.475, 0.844, 0.709], [0.009, 0.202, 0.854], [0.509, 0.202, 0.646], [0.498, 0.490, 0.644], [0.491, 0.798, 0.354], [0.655, 0.351, 0.635], [0.500, 0.000, 0.500], [0.365, 0.155, 0.149], [0.865, 0.155, 0.351], [0.644, 0.002, 0.990], [0.202, 0.854, 0.009], [0.209, 0.475, 0.656], [0.854, 0.491, 0.702], [0.135, 0.655, 0.149], [0.798, 0.146, 0.991], [0.291, 0.525, 0.156], [0.635, 0.655, 0.351], [0.702, 0.646, 0.991], [0.844, 0.709, 0.475], [0.845, 0.649, 0.135], [0.144, 0.498, 0.010], [0.209, 0.025, 0.156], [0.644, 0.498, 0.490], [0.356, 0.998, 0.010], [0.010, 0.144, 0.498], [0.149, 0.365, 0.155], [0.791, 0.525, 0.344], [0.502, 0.510, 0.356], [0.490, 0.856, 0.998], [0.856, 0.502, 0.990], [0.656, 0.209, 0.475], [0.865, 0.345, 0.851], [0.146, 0.509, 0.298], [0.998, 0.010, 0.356], [0.702, 0.854, 0.491], [0.291, 0.975, 0.656], [0.298, 0.146, 0.509], [0.344, 0.791, 0.525], [0.025, 0.156, 0.209], [0.851, 0.635, 0.845], [0.009, 0.298, 0.354], [0.998, 0.490, 0.856], [0.000, 0.500, 0.500], [0.510, 0.144, 0.002], [0.344, 0.709, 0.025], [0.709, 0.025, 0.344], [0.010, 0.356, 0.998], [0.655, 0.149, 0.135], [0.646, 0.509, 0.202], [0.298, 0.354, 0.009], [0.991, 0.702, 0.646], [0.709, 0.475, 0.844], [0.525, 0.344, 0.791], [0.510, 0.356, 0.502], [0.475, 0.656, 0.209], [0.856, 0.998, 0.490], [0.649, 0.135, 0.845], [0.354, 0.491, 0.798], [0.791, 0.975, 0.844], [0.844, 0.791, 0.975], [0.000, 0.000, 0.000], [0.975, 0.656, 0.291], [0.656, 0.291, 0.975], [0.345, 0.851, 0.865], [0.146, 0.991, 0.798], [0.351, 0.865, 0.155], [0.798, 0.354, 0.491], [0.635, 0.845, 0.851], [0.155, 0.351, 0.865], [0.490, 0.644, 0.498], [0.144, 0.002, 0.510], [0.002, 0.510, 0.144], [0.500, 0.500, 0.000], [0.002, 0.990, 0.644], [0.354, 0.009, 0.298], [0.845, 0.851, 0.635], [0.990, 0.856, 0.502], [0.491, 0.702, 0.854], [0.854, 0.009, 0.202], [0.345, 0.649, 0.365], [0.156, 0.291, 0.525], [0.498, 0.010, 0.144], [0.649, 0.365, 0.345], [0.135, 0.845, 0.649], [0.990, 0.644, 0.002], [0.646, 0.991, 0.702], [0.155, 0.149, 0.365], [0.025, 0.344, 0.709], [0.356, 0.502, 0.510], [0.149, 0.135, 0.655], [0.365, 0.345, 0.649], [0.525, 0.156, 0.291], [0.156, 0.209, 0.025], [0.975, 0.844, 0.791], [0.991, 0.798, 0.146], [0.509, 0.298, 0.146], [0.502, 0.990, 0.856], [0.851, 0.865, 0.345], [0.351, 0.635, 0.655], [0.202, 0.646, 0.509], [0.845, 0.167, 0.176], [0.486, 0.166, 0.481], [0.015, 0.824, 0.315], [0.519, 0.514, 0.834], [0.014, 0.834, 0.981], [0.345, 0.333, 0.824], [0.166, 0.481, 0.486], [0.655, 0.833, 0.676], [0.334, 0.981, 0.486], [0.685, 0.985, 0.176], [0.824, 0.315, 0.015], [0.185, 0.985, 0.324], [0.515, 0.824, 0.185], [0.481, 0.014, 0.666], [0.324, 0.345, 0.167], [0.167, 0.176, 0.845], [0.676, 0.815, 0.015], [0.514, 0.666, 0.019], [0.815, 0.015, 0.676], [0.666, 0.481, 0.014], [0.486, 0.334, 0.981], [0.166, 0.019, 0.986], [0.685, 0.515, 0.676], [0.019, 0.986, 0.166], [0.014, 0.666, 0.481], [0.167, 0.324, 0.345], [0.324, 0.185, 0.985], [0.015, 0.676, 0.815], [0.176, 0.655, 0.667], [0.985, 0.324, 0.185], [0.833, 0.824, 0.155], [0.834, 0.981, 0.014], [0.315, 0.485, 0.324], [0.815, 0.485, 0.176], [0.834, 0.519, 0.514], [0.986, 0.166, 0.019], [0.176, 0.685, 0.985], [0.676, 0.845, 0.333], [0.824, 0.345, 0.333], [0.155, 0.667, 0.324], [0.315, 0.015, 0.824], [0.333, 0.676, 0.845], [0.666, 0.019, 0.514], [0.676, 0.655, 0.833], [0.515, 0.676, 0.685], [0.019, 0.514, 0.666], [0.655, 0.667, 0.176], [0.824, 0.185, 0.515], [0.485, 0.176, 0.815], [0.986, 0.334, 0.519], [0.824, 0.155, 0.833], [0.667, 0.176, 0.655], [0.845, 0.333, 0.676], [0.667, 0.324, 0.155], [0.514, 0.834, 0.519], [0.981, 0.486, 0.334], [0.333, 0.824, 0.345], [0.334, 0.519, 0.986], [0.324, 0.155, 0.667], [0.676, 0.685, 0.515], [0.485, 0.324, 0.315], [0.985, 0.176, 0.685], [0.519, 0.986, 0.334], [0.345, 0.167, 0.324], [0.481, 0.486, 0.166], [0.176, 0.845, 0.167], [0.833, 0.676, 0.655], [0.155, 0.833, 0.824], [0.185, 0.515, 0.824], [0.981, 0.014, 0.834], [0.176, 0.815, 0.485], [0.324, 0.315, 0.485], [0.012, 0.159, 0.350], [0.350, 0.012, 0.159], [0.850, 0.488, 0.841], [0.841, 0.850, 0.488], [0.659, 0.350, 0.488], [0.650, 0.512, 0.341], [0.659, 0.150, 0.988], [0.000, 0.500, 0.000], [0.150, 0.512, 0.159], [0.159, 0.350, 0.012], [0.500, 0.500, 0.500], [0.000, 0.000, 0.500], [0.988, 0.659, 0.150], [0.150, 0.988, 0.659], [0.012, 0.341, 0.850], [0.350, 0.488, 0.659], [0.850, 0.012, 0.341], [0.988, 0.841, 0.650], [0.841, 0.650, 0.988], [0.341, 0.850, 0.012], [0.159, 0.150, 0.512], [0.341, 0.650, 0.512], [0.500, 0.000, 0.000], [0.512, 0.341, 0.650], [0.488, 0.659, 0.350], [0.488, 0.841, 0.850], [0.512, 0.159, 0.150], [0.650, 0.988, 0.841], [0.823, 0.677, 0.323], [0.677, 0.177, 0.323], [0.177, 0.323, 0.677], [0.677, 0.323, 0.823], [0.177, 0.177, 0.177], [0.323, 0.677, 0.177], [0.323, 0.823, 0.677], [0.823, 0.823, 0.823]], "formation_enthalpy_0k_kj_per_mol_atoms": -109.2, "rho_kg_m3": 7341}